1.
This record from the Materials Project describes a geometry-optimized Th2B15 structure. The functional is GGA-PBE.

Cell lengths 4.118, 4.118, 20.584 Å; angles 90.00, 90.00, 90.00 degrees
Sites, in units of the cell vectors:
B: 0.500 0.799 0.101
B: 0.198 0.500 0.500
B: 0.500 0.500 0.040
B: 0.500 0.799 0.899
B: 0.500 0.500 0.839
B: 0.198 0.500 0.700
B: 0.802 0.500 0.700
B: 0.500 0.201 0.899
B: 0.500 0.500 0.240
B: 0.500 0.500 0.361
B: 0.500 0.500 0.161
B: 0.799 0.500 0.899
B: 0.500 0.802 0.300
B: 0.799 0.500 0.101
B: 0.500 0.198 0.700
B: 0.500 0.500 0.440
B: 0.500 0.802 0.500
B: 0.802 0.500 0.300
B: 0.201 0.500 0.899
B: 0.500 0.500 0.560
B: 0.500 0.500 0.639
B: 0.500 0.198 0.300
B: 0.500 0.500 0.960
B: 0.500 0.500 0.760
B: 0.802 0.500 0.500
B: 0.500 0.201 0.101
B: 0.198 0.500 0.300
B: 0.201 0.500 0.101
B: 0.500 0.198 0.500
B: 0.500 0.802 0.700
Th: 0.000 0.000 0.804
Th: 0.000 0.000 0.399
Th: 0.000 0.000 0.601
Th: 0.000 0.000 0.196

The calculation puts the total energy at -7.157 eV/atom. The value obtained for the formation energy from the elements is -0.3914 eV per atom. The space group is P4/mmm.


2.
This record from the Materials Project describes a geometry-optimized ThVB4 structure. The functional is GGA-PBE.

Cell lengths 6.088, 6.088, 3.670 Å; angles 90.00, 90.00, 104.35 degrees
Sites, in units of the cell vectors:
B: 0.624 0.933 0.500
B: 0.367 0.367 0.500
B: 0.067 0.376 0.500
B: 0.376 0.067 0.500
B: 0.911 0.089 0.500
B: 0.089 0.911 0.500
B: 0.933 0.624 0.500
B: 0.633 0.633 0.500
Th: 0.302 0.698 0.000
Th: 0.698 0.302 0.000
V: 0.838 0.838 0.000
V: 0.162 0.162 0.000

The calculation puts the total energy at -7.873 eV/atom. The value obtained for the formation energy from the elements is -0.6704 eV per atom. The space group is Cmmm.


3.
This record from the Materials Project describes a geometry-optimized ThB4W structure. The functional is GGA-PBE.

Cell lengths 6.126, 6.126, 3.766 Å; angles 90.00, 90.00, 104.23 degrees
Sites, in units of the cell vectors:
B: 0.377 0.064 0.500
B: 0.910 0.090 0.500
B: 0.936 0.623 0.500
B: 0.090 0.910 0.500
B: 0.064 0.377 0.500
B: 0.372 0.372 0.500
B: 0.623 0.936 0.500
B: 0.628 0.628 0.500
W: 0.172 0.172 0.000
W: 0.828 0.828 0.000
Th: 0.302 0.698 0.000
Th: 0.698 0.302 0.000

The calculation puts the total energy at -8.390 eV/atom. The value obtained for the formation energy from the elements is -0.5418 eV per atom. The space group is Cmmm.